Entry 1:
{
  "formula": "CrPO4",
  "functional": "GGA+U",
  "state": "optimized geometry",
  "energy_mp2020_ev_per_cell": -198.80,
  "e_form_kj_per_mol_fu": -1432,
  "crystal_system": "triclinic",
  "lattice": [[9.240, 0.167, -2.496], [0.999, 5.492, -1.005], [-0.014, 0.109, 6.410]],
  "species": ["Cr", "Cr", "Cr", "Cr", "P", "P", "P", "P", "O", "O", "O", "O", "O", "O", "O", "O", "O", "O", "O", "O", "O", "O", "O", "O"],
  "frac_coords": [[0.060, 0.258, 0.331], [0.312, 0.875, 0.594], [0.688, 0.125, 0.406], [0.940, 0.742, 0.669], [0.027, 0.179, 0.795], [0.401, 0.302, 0.648], [0.599, 0.698, 0.352], [0.973, 0.821, 0.205], [0.035, 0.374, 0.651], [0.126, 0.932, 0.730], [0.069, 0.269, 0.033], [0.129, 0.886, 0.284], [0.275, 0.211, 0.449], [0.410, 0.113, 0.806], [0.349, 0.568, 0.729], [0.456, 0.735, 0.425], [0.544, 0.265, 0.575], [0.651, 0.432, 0.271], [0.590, 0.887, 0.194], [0.725, 0.789, 0.551], [0.871, 0.114, 0.716], [0.931, 0.731, 0.967], [0.874, 0.068, 0.270], [0.965, 0.626, 0.349]]
}



Entry 2:
{
  "formula": "Cr3P4O14",
  "functional": "GGA+U",
  "state": "optimized geometry",
  "energy_mp2020_ev_per_cell": -343.74,
  "e_form_kj_per_mol_fu": -5016,
  "crystal_system": "triclinic",
  "lattice": [[5.280, 0.000, 0.000], [1.737, 6.174, 0.000], [2.546, 1.145, 15.984]],
  "species": ["Cr", "Cr", "Cr", "Cr", "Cr", "Cr", "P", "P", "P", "P", "P", "P", "P", "P", "O", "O", "O", "O", "O", "O", "O", "O", "O", "O", "O", "O", "O", "O", "O", "O", "O", "O", "O", "O", "O", "O", "O", "O", "O", "O", "O", "O"],
  "frac_coords": [[0.042, 0.627, 0.822], [0.810, 0.723, 0.407], [0.764, 0.022, 0.683], [0.190, 0.277, 0.593], [0.236, 0.978, 0.317], [0.958, 0.373, 0.178], [0.188, 0.101, 0.796], [0.558, 0.232, 0.075], [0.307, 0.773, 0.548], [0.442, 0.768, 0.925], [0.812, 0.899, 0.204], [0.693, 0.227, 0.452], [0.374, 0.434, 0.316], [0.626, 0.566, 0.684], [0.430, 0.302, 0.405], [0.883, 0.028, 0.410], [0.575, 0.167, 0.541], [0.810, 0.340, 0.662], [0.117, 0.972, 0.590], [0.003, 0.954, 0.788], [0.997, 0.046, 0.212], [0.784, 0.697, 0.720], [0.425, 0.833, 0.459], [0.657, 0.152, 0.990], [0.638, 0.878, 0.291], [0.970, 0.682, 0.174], [0.362, 0.122, 0.709], [0.287, 0.617, 0.900], [0.829, 0.410, 0.447], [0.030, 0.318, 0.826], [0.713, 0.383, 0.100], [0.363, 0.553, 0.732], [0.570, 0.698, 0.595], [0.259, 0.329, 0.091], [0.602, 0.020, 0.145], [0.190, 0.660, 0.338], [0.637, 0.447, 0.268], [0.741, 0.671, 0.909], [0.398, 0.980, 0.855], [0.343, 0.848, 0.010], [0.216, 0.303, 0.280], [0.171, 0.590, 0.553]]
}



Entry 3:
{
  "formula": "Cr2P5O15",
  "functional": "GGA+U",
  "state": "optimized geometry",
  "energy_mp2020_ev_per_cell": -352.95,
  "e_form_kj_per_mol_fu": -5392,
  "crystal_system": "monoclinic",
  "lattice": [[-1.595, -8.169, 9.946], [-5.759, -4.195, -4.369], [3.826, -2.891, -2.267]],
  "species": ["Cr", "Cr", "Cr", "Cr", "P", "P", "P", "P", "P", "P", "P", "P", "P", "P", "O", "O", "O", "O", "O", "O", "O", "O", "O", "O", "O", "O", "O", "O", "O", "O", "O", "O", "O", "O", "O", "O", "O", "O", "O", "O", "O", "O", "O", "O"],
  "frac_coords": [[0.964, 0.296, 0.889], [0.537, 0.296, 0.610], [0.464, 0.704, 0.389], [0.037, 0.704, 0.110], [0.603, 0.825, 0.937], [0.644, 0.501, 0.129], [0.751, 0.072, 0.750], [0.857, 0.499, 0.370], [0.103, 0.175, 0.437], [0.144, 0.499, 0.629], [0.251, 0.928, 0.250], [0.357, 0.501, 0.870], [0.399, 0.175, 0.061], [0.899, 0.825, 0.561], [0.675, 0.670, 0.018], [0.964, 0.860, 0.346], [0.948, 0.798, 0.821], [0.927, 0.513, 0.150], [0.037, 0.142, 0.654], [0.053, 0.201, 0.178], [0.074, 0.481, 0.848], [0.175, 0.330, 0.518], [0.110, 0.610, 0.420], [0.171, 0.841, 0.084], [0.194, 0.046, 0.439], [0.250, 0.567, 0.751], [0.332, 0.842, 0.416], [0.307, 0.048, 0.062], [0.327, 0.331, 0.977], [0.390, 0.610, 0.081], [0.427, 0.487, 0.650], [0.464, 0.140, 0.846], [0.448, 0.202, 0.321], [0.827, 0.669, 0.477], [0.537, 0.858, 0.154], [0.574, 0.519, 0.348], [0.890, 0.390, 0.581], [0.610, 0.390, 0.920], [0.671, 0.159, 0.584], [0.694, 0.954, 0.939], [0.750, 0.433, 0.251], [0.832, 0.158, 0.916], [0.807, 0.952, 0.562], [0.553, 0.799, 0.678]]
}



Entry 4:
{
  "formula": "CrPO4",
  "functional": "GGA+U",
  "state": "optimized geometry",
  "energy_mp2020_ev_per_cell": -201.22,
  "e_form_kj_per_mol_fu": -1490,
  "crystal_system": "orthorhombic",
  "lattice": [[0.000, 0.000, 4.739], [8.727, 0.000, 0.000], [0.000, 6.426, 0.000]],
  "species": ["Cr", "Cr", "Cr", "Cr", "P", "P", "P", "P", "O", "O", "O", "O", "O", "O", "O", "O", "O", "O", "O", "O", "O", "O", "O", "O"],
  "frac_coords": [[0.000, 0.000, 0.500], [0.500, 0.500, 0.000], [0.000, 0.000, 0.000], [0.500, 0.500, 0.500], [0.476, 0.177, 0.250], [0.976, 0.323, 0.750], [0.024, 0.677, 0.250], [0.524, 0.823, 0.750], [0.944, 0.142, 0.750], [0.444, 0.358, 0.250], [0.556, 0.642, 0.750], [0.056, 0.858, 0.250], [0.792, 0.117, 0.250], [0.292, 0.383, 0.750], [0.708, 0.617, 0.250], [0.208, 0.883, 0.750], [0.336, 0.124, 0.049], [0.336, 0.124, 0.451], [0.836, 0.376, 0.549], [0.836, 0.376, 0.951], [0.164, 0.624, 0.049], [0.164, 0.624, 0.451], [0.664, 0.876, 0.549], [0.664, 0.876, 0.951]]
}



Entry 5:
{
  "formula": "CrP3O9",
  "functional": "GGA+U",
  "state": "optimized geometry",
  "energy_mp2020_ev_per_cell": -208.32,
  "e_form_kj_per_mol_fu": -3255,
  "crystal_system": "monoclinic",
  "e_ij_max_c_m2": 0.1,
  "lattice": [[3.298, 5.710, 0.000], [-3.298, 5.710, 0.000], [0.000, 0.038, 9.624]],
  "species": ["Cr", "Cr", "P", "P", "P", "P", "P", "P", "O", "O", "O", "O", "O", "O", "O", "O", "O", "O", "O", "O", "O", "O", "O", "O", "O", "O"],
  "frac_coords": [[0.336, 0.333, 0.500], [0.333, 0.336, 0.000], [0.066, 0.713, 0.750], [0.223, 0.066, 0.752], [0.714, 0.222, 0.748], [0.713, 0.066, 0.250], [0.066, 0.223, 0.252], [0.222, 0.714, 0.248], [0.814, 0.944, 0.748], [0.245, 0.813, 0.751], [0.590, 0.327, 0.613], [0.582, 0.328, 0.880], [0.586, 0.086, 0.384], [0.328, 0.582, 0.380], [0.327, 0.590, 0.113], [0.585, 0.092, 0.117], [0.086, 0.586, 0.884], [0.092, 0.585, 0.617], [0.325, 0.088, 0.887], [0.813, 0.245, 0.251], [0.944, 0.814, 0.248], [0.331, 0.089, 0.620], [0.088, 0.325, 0.387], [0.089, 0.331, 0.120], [0.945, 0.244, 0.750], [0.244, 0.945, 0.250]]
}



Entry 6:
{
  "formula": "CrP2O7",
  "functional": "GGA+U",
  "state": "optimized geometry",
  "energy_mp2020_ev_per_cell": -318.42,
  "e_form_kj_per_mol_fu": -2363,
  "crystal_system": "monoclinic",
  "lattice": [[5.159, 0.000, 0.000], [0.000, 8.669, 0.000], [0.000, 5.795, 11.899]],
  "species": ["Cr", "Cr", "Cr", "Cr", "P", "P", "P", "P", "P", "P", "P", "P", "O", "O", "O", "O", "O", "O", "O", "O", "O", "O", "O", "O", "O", "O", "O", "O", "O", "O", "O", "O", "O", "O", "O", "O", "O", "O", "O", "O"],
  "frac_coords": [[0.243, 0.727, 0.034], [0.257, 0.727, 0.534], [0.757, 0.273, 0.966], [0.743, 0.273, 0.466], [0.731, 0.688, 0.886], [0.769, 0.688, 0.386], [0.269, 0.312, 0.114], [0.231, 0.312, 0.614], [0.741, 0.839, 0.640], [0.759, 0.839, 0.140], [0.259, 0.161, 0.360], [0.241, 0.161, 0.860], [0.237, 0.976, 0.446], [0.468, 0.764, 0.645], [0.276, 0.162, 0.739], [0.263, 0.976, 0.946], [0.545, 0.729, 0.125], [0.580, 0.726, 0.459], [0.551, 0.299, 0.082], [0.032, 0.764, 0.145], [0.968, 0.236, 0.855], [0.724, 0.838, 0.261], [0.278, 0.480, 0.623], [0.722, 0.520, 0.377], [0.420, 0.274, 0.541], [0.222, 0.480, 0.123], [0.532, 0.236, 0.355], [0.051, 0.701, 0.418], [0.449, 0.701, 0.918], [0.778, 0.520, 0.877], [0.455, 0.271, 0.875], [0.045, 0.271, 0.375], [0.224, 0.162, 0.239], [0.920, 0.726, 0.959], [0.763, 0.024, 0.554], [0.080, 0.274, 0.041], [0.949, 0.299, 0.582], [0.955, 0.729, 0.625], [0.737, 0.024, 0.054], [0.776, 0.838, 0.761]]
}



Entry 7:
{
  "formula": "CrPO4",
  "functional": "GGA+U",
  "state": "optimized geometry",
  "energy_mp2020_ev_per_cell": -200.21,
  "e_form_kj_per_mol_fu": -1466,
  "crystal_system": "triclinic",
  "lattice": [[9.284, -0.001, -0.254], [0.905, 5.499, -0.030], [-1.737, -1.098, 6.128]],
  "species": ["Cr", "Cr", "Cr", "Cr", "P", "P", "P", "P", "O", "O", "O", "O", "O", "O", "O", "O", "O", "O", "O", "O", "O", "O", "O", "O"],
  "frac_coords": [[0.197, 0.699, 0.913], [0.433, 0.206, 0.165], [0.567, 0.794, 0.835], [0.803, 0.301, 0.087], [0.096, 0.161, 0.852], [0.472, 0.343, 0.714], [0.528, 0.657, 0.286], [0.904, 0.839, 0.148], [0.149, 0.359, 0.768], [0.082, 0.906, 0.696], [0.045, 0.740, 0.071], [0.236, 0.069, 0.050], [0.457, 0.148, 0.848], [0.438, 0.232, 0.474], [0.378, 0.600, 0.760], [0.363, 0.570, 0.183], [0.637, 0.430, 0.817], [0.622, 0.400, 0.240], [0.562, 0.768, 0.526], [0.543, 0.852, 0.152], [0.764, 0.931, 0.950], [0.955, 0.260, 0.929], [0.918, 0.094, 0.304], [0.851, 0.641, 0.232]]
}



Entry 8:
{
  "formula": "CrP2O6",
  "functional": "GGA+U",
  "state": "optimized geometry",
  "energy_mp2020_ev_per_cell": -292.55,
  "e_form_kj_per_mol_fu": -2216,
  "crystal_system": "monoclinic",
  "lattice": [[4.187, 6.518, 0.000], [-4.187, 6.518, 0.000], [0.000, 4.898, 8.774]],
  "species": ["Cr", "Cr", "Cr", "Cr", "P", "P", "P", "P", "P", "P", "P", "P", "O", "O", "O", "O", "O", "O", "O", "O", "O", "O", "O", "O", "O", "O", "O", "O", "O", "O", "O", "O", "O", "O", "O", "O"],
  "frac_coords": [[0.052, 0.948, 0.250], [0.000, 0.500, 0.500], [0.500, 0.000, 0.000], [0.948, 0.052, 0.750], [0.688, 0.683, 0.810], [0.252, 0.726, 0.978], [0.683, 0.688, 0.310], [0.274, 0.748, 0.522], [0.726, 0.252, 0.478], [0.317, 0.312, 0.690], [0.748, 0.274, 0.022], [0.312, 0.317, 0.190], [0.797, 0.653, 0.656], [0.270, 0.800, 0.089], [0.461, 0.692, 0.847], [0.862, 0.693, 0.332], [0.088, 0.843, 0.907], [0.800, 0.270, 0.589], [0.233, 0.505, 0.058], [0.157, 0.912, 0.593], [0.495, 0.767, 0.442], [0.653, 0.797, 0.156], [0.308, 0.539, 0.653], [0.307, 0.138, 0.168], [0.693, 0.862, 0.832], [0.692, 0.461, 0.347], [0.347, 0.203, 0.844], [0.505, 0.233, 0.558], [0.843, 0.088, 0.407], [0.767, 0.495, 0.942], [0.200, 0.730, 0.411], [0.912, 0.157, 0.093], [0.138, 0.307, 0.668], [0.539, 0.308, 0.153], [0.730, 0.200, 0.911], [0.203, 0.347, 0.344]]
}



Entry 9:
{
  "formula": "CrPO4",
  "functional": "GGA+U",
  "state": "optimized geometry",
  "energy_mp2020_ev_per_cell": -195.90,
  "e_form_kj_per_mol_fu": -1362,
  "crystal_system": "monoclinic",
  "lattice": [[-0.455, -4.165, -2.329], [-0.325, -1.409, 4.570], [-15.525, -0.158, 0.355]],
  "species": ["Cr", "Cr", "Cr", "Cr", "P", "P", "P", "P", "O", "O", "O", "O", "O", "O", "O", "O", "O", "O", "O", "O", "O", "O", "O", "O"],
  "frac_coords": [[0.088, 0.411, 0.750], [0.912, 0.589, 0.250], [0.589, 0.912, 0.750], [0.411, 0.088, 0.250], [0.742, 0.567, 0.630], [0.258, 0.433, 0.370], [0.433, 0.258, 0.870], [0.567, 0.742, 0.130], [0.736, 0.914, 0.204], [0.743, 0.207, 0.835], [0.207, 0.743, 0.335], [0.828, 0.669, 0.539], [0.431, 0.616, 0.666], [0.264, 0.086, 0.796], [0.669, 0.828, 0.039], [0.086, 0.264, 0.296], [0.331, 0.172, 0.961], [0.793, 0.257, 0.665], [0.257, 0.793, 0.165], [0.569, 0.384, 0.334], [0.616, 0.431, 0.166], [0.384, 0.569, 0.834], [0.172, 0.331, 0.461], [0.914, 0.736, 0.704]]
}



Entry 10:
{
  "formula": "CrP3O9",
  "functional": "GGA+U",
  "state": "optimized geometry",
  "energy_mp2020_ev_per_cell": -416.77,
  "e_form_kj_per_mol_fu": -3258,
  "lattice": [[6.023, 0.000, 2.539], [-3.338, 6.635, 7.918], [-2.689, -6.561, 6.379]],
  "species": ["Cr", "Cr", "Cr", "Cr", "P", "P", "P", "P", "P", "P", "P", "P", "P", "P", "P", "P", "O", "O", "O", "O", "O", "O", "O", "O", "O", "O", "O", "O", "O", "O", "O", "O", "O", "O", "O", "O", "O", "O", "O", "O", "O", "O", "O", "O", "O", "O", "O", "O", "O", "O", "O", "O"],
  "frac_coords": [[0.750, 0.750, 0.250], [0.250, 0.750, 0.750], [0.250, 0.250, 0.750], [0.750, 0.250, 0.250], [0.048, 0.500, 0.250], [0.548, 0.000, 0.750], [0.952, 0.500, 0.750], [0.452, 0.000, 0.250], [0.594, 0.387, 0.936], [0.094, 0.887, 0.436], [0.094, 0.113, 0.064], [0.594, 0.613, 0.564], [0.906, 0.887, 0.936], [0.406, 0.387, 0.436], [0.406, 0.613, 0.064], [0.906, 0.113, 0.564], [0.000, 0.000, 0.000], [0.500, 0.500, 0.500], [0.500, 0.500, 0.000], [0.000, 0.000, 0.500], [0.530, 0.641, 0.187], [0.030, 0.141, 0.687], [0.470, 0.359, 0.813], [0.970, 0.859, 0.313], [0.470, 0.641, 0.687], [0.970, 0.141, 0.187], [0.530, 0.359, 0.313], [0.030, 0.859, 0.813], [0.068, 0.397, 0.698], [0.568, 0.897, 0.198], [0.932, 0.397, 0.198], [0.432, 0.897, 0.698], [0.068, 0.603, 0.802], [0.568, 0.103, 0.302], [0.932, 0.603, 0.302], [0.432, 0.103, 0.802], [0.808, 0.555, 0.621], [0.308, 0.055, 0.121], [0.192, 0.555, 0.121], [0.692, 0.055, 0.621], [0.808, 0.445, 0.879], [0.308, 0.945, 0.379], [0.192, 0.445, 0.379], [0.692, 0.945, 0.879], [0.133, 0.220, 0.947], [0.633, 0.720, 0.447], [0.867, 0.780, 0.053], [0.367, 0.280, 0.553], [0.367, 0.720, 0.947], [0.867, 0.220, 0.447], [0.633, 0.280, 0.053], [0.133, 0.780, 0.553]]
}



Entry 11:
{
  "formula": "CrPO5",
  "functional": "GGA+U",
  "state": "optimized geometry",
  "energy_mp2020_ev_per_cell": -220.10,
  "e_form_kj_per_mol_fu": -1468,
  "crystal_system": "triclinic",
  "lattice": [[-5.343, 4.207, -1.848], [-5.746, -0.894, 4.538], [2.782, 5.300, 4.168]],
  "species": ["Cr", "Cr", "Cr", "Cr", "P", "P", "P", "P", "O", "O", "O", "O", "O", "O", "O", "O", "O", "O", "O", "O", "O", "O", "O", "O", "O", "O", "O", "O"],
  "frac_coords": [[0.306, 0.457, 0.280], [0.694, 0.543, 0.720], [0.800, 0.947, 0.216], [0.200, 0.053, 0.784], [0.472, 0.760, 0.086], [0.528, 0.240, 0.914], [0.021, 0.243, 0.413], [0.979, 0.757, 0.587], [0.107, 0.341, 0.264], [0.893, 0.659, 0.736], [0.603, 0.333, 0.756], [0.397, 0.667, 0.244], [0.494, 0.296, 0.367], [0.506, 0.704, 0.633], [0.355, 0.394, 0.027], [0.645, 0.606, 0.973], [0.287, 0.859, 0.963], [0.713, 0.141, 0.037], [0.959, 0.088, 0.312], [0.041, 0.912, 0.688], [0.838, 0.393, 0.513], [0.162, 0.607, 0.487], [0.552, 0.910, 0.179], [0.448, 0.090, 0.821], [0.802, 0.851, 0.452], [0.198, 0.149, 0.548], [0.960, 0.766, 0.113], [0.040, 0.234, 0.887]]
}